Record 1
Below is a relaxed structure of Pb3O4, with properties calculated at the PBE-GGA level.

a b c (Å): 8.7222 9.3295 6.7813
angles (deg): 90.00 90.00 90.00
Space group Pbam (No. 55)
Asymmetric unit:
1 Pb 0.0000 0.0000 0.2492 x4
2 Pb 0.1326 0.3254 0.5000 x4
3 Pb 0.1584 0.6568 0.0000 x4
4 O 0.0979 0.8713 0.5000 x4
5 O 0.1394 0.9091 0.0000 x4
6 O 0.1713 0.1709 0.2492 x8

Results
* calculated total energy: -153.2 eV per cell
* energy above the lowest structure with this stoichiometry: 0 meV/atom
* formation enthalpy at 0 K: -1.447 eV/atom

Record 2
Below is a relaxed structure of PbO2, with properties calculated at the PBE-GGA level.

a b c (Å): 8.2847 3.5497 5.7450
angles (deg): 90.00 90.00 90.00
Space group Pnma (No. 62)
Asymmetric unit:
1 Pb 0.1661 0.2500 0.1361 x4
2 O 0.1084 0.7500 0.8875 x4
3 O 0.1387 0.7500 0.3692 x4

Results
* calculated total energy: -63.9 eV per cell
* formation enthalpy at 0 K: -1.243 eV/atom

Record 3
Below is a relaxed structure of Pb3O4, with properties calculated at the PBE-GGA level.

a b c (Å): 9.0395 9.0395 6.7767
angles (deg): 90.00 90.00 90.00
Space group P4_2/mbc (No. 135)
Asymmetric unit:
1 Pb 0.0000 0.5000 0.2500 x4
2 Pb 0.1449 0.1675 0.0000 x8
3 O 0.0948 0.6334 0.0000 x8
4 O 0.1706 0.3294 0.2500 x8

Results
* calculated total energy: -153.2 eV per cell
* energy above the lowest structure with this stoichiometry: 0 meV/atom
* formation enthalpy at 0 K: -1.447 eV/atom

Record 4
Below is a relaxed structure of PdPb2O6, with properties calculated at the PBE-GGA level.

a b c (Å): 8.9388 8.9388 5.9429
angles (deg): 90.00 90.00 90.00
Space group P4_2/ncm (No. 138, origin choice 2)
Asymmetric unit:
1 Pd 0.0000 0.0000 0.0000 x4
2 Pb 0.1139 0.1139 0.4709 x8
3 O 0.0408 0.6824 0.6898 x16
4 O 0.2500 0.2500 0.2014 x4
5 O 0.2500 0.7500 0.2500 x4

Results
* calculated total energy: -173.2 eV per cell
* formation enthalpy at 0 K: -0.569 eV/atom

Record 5
Below is a relaxed structure of Pd2PbO4, with properties calculated at the PBE-GGA level.

a b c (Å): 5.9474 5.9474 10.2314
angles (deg): 90.00 90.00 90.00
Space group I4_1/a (No. 88, origin choice 2)
Asymmetric unit:
1 Pd 0.0000 0.0000 0.0000 x8
2 Pb 0.0000 0.2500 0.6250 x4
3 O 0.1616 0.0498 0.8282 x16

Results
* calculated total energy: -154.6 eV per cell
* formation enthalpy at 0 K: -1.075 eV/atom

Record 6
Below is a relaxed structure of Pt2PbO4, with properties calculated at the PBE-GGA level.

a b c (Å): 5.7433 6.2280 6.7710
angles (deg): 115.83 96.63 109.58
Space group P-1 (No. 2)
Asymmetric unit:
1 Pt 0.0000 0.0000 0.0000 x1
2 Pt 0.0000 0.0000 0.5000 x1
3 Pt 0.0000 0.5000 0.0000 x1
4 Pt 0.5000 0.5000 0.0000 x1
5 Pb 0.3572 0.7481 0.6441 x2
6 O 0.0185 0.3620 0.2233 x2
7 O 0.1322 0.8963 0.2249 x2
8 O 0.3346 0.3318 0.6586 x2
9 O 0.3702 0.1552 0.9951 x2

Results
* calculated total energy: -81.5 eV per cell
* energy above the lowest structure with this stoichiometry: 0 meV/atom
* formation enthalpy at 0 K: -1.120 eV/atom

Record 7
Below is a relaxed structure of PtPb2O4, with properties calculated at the PBE-GGA level.

a b c (Å): 8.0911 9.2348 6.4448
angles (deg): 90.00 90.00 90.00
Space group Pbam (No. 55)
Asymmetric unit:
1 Pt 0.0000 0.0000 0.2491 x4
2 Pb 0.1094 0.3251 0.5000 x4
3 Pb 0.1417 0.6561 0.0000 x4
4 O 0.1065 0.8961 0.5000 x4
5 O 0.1253 0.9120 0.0000 x4
6 O 0.1666 0.1662 0.2495 x8

Results
* calculated total energy: -158.1 eV per cell
* formation enthalpy at 0 K: -1.283 eV/atom

Record 8
Below is a relaxed structure of Rb3PbO3, with properties calculated at the PBE-GGA level.

a b c (Å): 8.0830 7.4046 11.8074
angles (deg): 90.00 93.86 90.00
Space group P2_1/c (No. 14)
Asymmetric unit:
1 Rb 0.0629 0.1260 0.1539 x4
2 Rb 0.3596 0.1778 0.9235 x4
3 Rb 0.3713 0.6981 0.8088 x4
4 Pb 0.1645 0.5949 0.0705 x4
5 O 0.1103 0.0426 0.3996 x4
6 O 0.2623 0.6319 0.5374 x4
7 O 0.3134 0.0682 0.6942 x4

Results
* calculated total energy: -117.4 eV per cell
* energy above the lowest structure with this stoichiometry: 0 meV/atom
* formation enthalpy at 0 K: -1.417 eV/atom

Record 9
Below is a relaxed structure of Rb2PbO2, with properties calculated at the PBE-GGA level.

a b c (Å): 7.7436 8.0004 10.6483
angles (deg): 85.19 70.30 61.32
Space group P-1 (No. 2)
Asymmetric unit:
1 Rb 0.0643 0.4513 0.1695 x2
2 Rb 0.0761 0.9333 0.1764 x2
3 Rb 0.2386 0.2686 0.4933 x2
4 Rb 0.3980 0.5683 0.8584 x2
5 Pb 0.3057 0.7031 0.4736 x2
6 Pb 0.4021 0.0594 0.8746 x2
7 O 0.0707 0.2128 0.9777 x2
8 O 0.1945 0.5977 0.3551 x2
9 O 0.3421 0.4840 0.6256 x2
10 O 0.4965 0.8073 0.0051 x2

Results
* calculated total energy: -86.8 eV per cell
* formation enthalpy at 0 K: -1.500 eV/atom

Record 10
Below is a relaxed structure of Rb3PbO3, with properties calculated at the PBE-GGA level.

a b c (Å): 7.8690 12.4202 7.3106
angles (deg): 90.00 98.12 90.00
Space group C2/m (No. 12)
Asymmetric unit:
1 Rb 0.0000 0.1959 0.0000 x4
2 Rb 0.0000 0.2563 0.5000 x4
3 Rb 0.1391 0.5000 0.8572 x4
4 Pb 0.1941 0.0000 0.6414 x4
5 O 0.0831 0.0000 0.3272 x4
6 O 0.1929 0.3544 0.2216 x8

Results
* calculated total energy: -117.3 eV per cell
* energy above the lowest structure with this stoichiometry: 5 meV/atom
* formation enthalpy at 0 K: -1.412 eV/atom

Record 11
Below is a relaxed structure of Rb4PbO3, with properties calculated at the PBE-GGA level.

a b c (Å): 6.9289 12.2514 20.0522
angles (deg): 90.00 90.00 90.00
Space group Pbca (No. 61)
Asymmetric unit:
1 Rb 0.0436 0.1146 0.2029 x8
2 Rb 0.1260 0.6733 0.6516 x8
3 Rb 0.2336 0.1882 0.4433 x8
4 Rb 0.2496 0.0555 0.0349 x8
5 Pb 0.1078 0.5624 0.8491 x8
6 O 0.0392 0.5998 0.1566 x8
7 O 0.0449 0.1437 0.5673 x8
8 O 0.1222 0.0148 0.8996 x8

Results
* calculated total energy: -253.5 eV per cell
* formation enthalpy at 0 K: -1.409 eV/atom

Record 12
Below is a relaxed structure of Rb2Pb2O3, with properties calculated at the PBE-GGA level.

a b c (Å): 8.9640 8.9640 8.9640
angles (deg): 90.00 90.00 90.00
Space group I2_13 (No. 199)
Asymmetric unit:
1 Rb 0.2347 0.2347 0.2347 x8
2 Pb 0.0049 0.0049 0.0049 x8
3 O 0.0000 0.2500 0.9746 x12

Results
* piezoelectric modulus e_max: 0.04 C/m2
* calculated total energy: -131.8 eV per cell
* formation enthalpy at 0 K: -1.539 eV/atom